# Nd2Pt2O7

Nd2Pt2O7 after structural relaxation (r²SCAN, Materials Project).

Geometry as POSCAR:
```
Nd2Pt2O7
1.0
6.566 -2.451 2.302
0.651 -3.099 6.662
1.230 -7.249 0.592
Nd Pt O
4 4 14
Direct
0.625 0.625 0.125 Nd
0.625 0.125 0.625 Nd
0.125 0.625 0.625 Nd
0.625 0.625 0.625 Nd
0.125 0.125 0.625 Pt
0.125 0.625 0.125 Pt
0.625 0.125 0.125 Pt
0.125 0.125 0.125 Pt
0.500 0.500 0.500 O
0.750 0.750 0.750 O
0.460 0.040 0.460 O
0.210 0.790 0.210 O
0.460 0.460 0.040 O
0.040 0.460 0.460 O
0.460 0.040 0.040 O
0.040 0.040 0.460 O
0.040 0.460 0.040 O
0.790 0.210 0.210 O
0.210 0.790 0.790 O
0.790 0.210 0.790 O
0.210 0.210 0.790 O
0.790 0.790 0.210 O
```

**Spin magnetization**: 0.000 μB per cell
**Formation energy from the elements**: -2.143 eV per atom
**V**: 12.9 Å³ per atom